# 1
## GaPb3N3 (PBE)

Data for a geometry-optimized GaPb3N3 structure.

abc: 10.4654 10.4654 3.6367
angles: 90.00 90.00 120.00
Space group P6_3/m (No. 176)
Symmetry-distinct sites (fractional):
Ga 0.3333 0.6667 0.2500
Pb 0.0253 0.3676 0.7500
N 0.1303 0.5315 0.2500

Output
The volume is 24.64 Å³ per atom. The formation enthalpy at 0 K is 132 meV per atom. The final energy is -5.309 eV per atom. The value obtained for the magnetic moment is 0.00 μB/cell.


# 2
## Ga3Pb3N5 (PBE)

Data for a geometry-optimized Ga3Pb3N5 structure.

abc: 6.0497 7.5161 8.7621
angles: 102.09 99.14 96.34
Space group P-1 (No. 2)
Symmetry-distinct sites (fractional):
Ga 0.0976 0.1903 0.0342
Ga 0.1275 0.4098 0.7313
Ga 0.2983 0.5006 0.3968
Pb 0.2433 0.0177 0.3635
Pb 0.2525 0.8082 0.6919
Pb 0.3658 0.6536 0.1073
N 0.0425 0.3610 0.2325
N 0.1435 0.7317 0.4115
N 0.1835 0.9642 0.0986
N 0.2581 0.3485 0.9249
N 0.3763 0.5084 0.6288

Output
The volume is 17.29 Å³ per atom. The formation enthalpy at 0 K is 47 meV per atom. The final energy is -5.416 eV per atom. The value obtained for the magnetic moment is 0.00 μB/cell.


# 3
## GaSb2N3 (PBE)

Data for a geometry-optimized GaSb2N3 structure.

abc: 5.6816 10.1259 14.5407
angles: 90.00 96.96 90.00
Space group C2/c (No. 15)
Symmetry-distinct sites (fractional):
Ga 0.1941 0.0483 0.1723
Sb 0.1800 0.3124 0.6421
Sb 0.2172 0.3675 0.0718
N 0.0000 0.1557 0.2500
N 0.0000 0.4069 0.7500
N 0.0616 0.1191 0.6366
N 0.2370 0.3393 0.9296

Output
The volume is 17.30 Å³ per atom. The formation enthalpy at 0 K is 68 meV per atom. The final energy is -5.801 eV per atom. The value obtained for the magnetic moment is 0.00 μB/cell.


# 4
## Sc2GaN3 (PBE)

Data for a geometry-optimized Sc2GaN3 structure.

abc: 5.5345 9.7604 11.0876
angles: 90.00 97.08 90.00
Space group C2/c (No. 15)
Symmetry-distinct sites (fractional):
Sc 0.1932 0.1135 0.4322
Sc 0.2276 0.2090 0.8634
Ga 0.2211 0.4971 0.3350
N 0.0000 0.0387 0.7500
N 0.0000 0.3701 0.7500
N 0.1203 0.3220 0.3904
N 0.1729 0.1068 0.0218

Output
The volume is 12.38 Å³ per atom. The formation enthalpy at 0 K is -1267 meV per atom. The final energy is -7.871 eV per atom. The value obtained for the magnetic moment is 0.01 μB/cell.


# 5
## GaSi2N3 (PBE)

Data for a geometry-optimized GaSi2N3 structure.

abc: 9.4682 5.7954 4.9160
angles: 90.00 90.00 90.00
Space group Cmc2_1 (No. 36)
Symmetry-distinct sites (fractional):
Ga 0.0000 0.1356 0.0000
Si 0.1756 0.3626 0.4304
N 0.0000 0.3420 0.3709
N 0.2344 0.3750 0.7710

Output
The volume is 11.24 Å³ per atom. The formation enthalpy at 0 K is -793 meV per atom. The final energy is -7.093 eV per atom. The value obtained for the magnetic moment is 0.00 μB/cell.


# 6
## Ga3Sn3N5 (PBE)

Data for a geometry-optimized Ga3Sn3N5 structure.

abc: 5.9964 6.9296 8.8723
angles: 102.67 98.49 93.95
Space group P-1 (No. 2)
Symmetry-distinct sites (fractional):
Ga 0.1038 0.1959 0.0376
Ga 0.1365 0.4158 0.7275
Ga 0.3088 0.5064 0.3891
Sn 0.2156 0.8254 0.6710
Sn 0.2715 0.0018 0.3463
Sn 0.3879 0.6696 0.1104
N 0.0527 0.3477 0.2422
N 0.1166 0.7487 0.4150
N 0.1947 0.9338 0.0804
N 0.2669 0.3779 0.9371
N 0.3662 0.5317 0.6236

Output
The volume is 16.08 Å³ per atom. The formation enthalpy at 0 K is -49 meV per atom. The final energy is -5.593 eV per atom. The value obtained for the magnetic moment is 0.00 μB/cell.